Record 1
## Mg6NbZnO8 (PBE)

Data for Mg6NbZnO8 after structural relaxation.

```
Mg6NbZnO8
1.0
-2.788 6.606 5.033
-3.740 -2.072 0.648
1.679 -1.943 3.480
Mg O Nb Zn
6 8 1 1
Direct
0.256 0.000 0.500
0.256 0.500 0.000
0.500 0.000 0.000
0.744 0.000 0.500
0.500 0.500 0.500
0.744 0.500 0.000
0.262 0.500 0.500
0.500 0.000 0.500
0.257 0.000 0.000
0.743 0.000 0.000
0.000 0.000 0.500
0.000 0.500 0.000
0.738 0.500 0.500
0.500 0.500 0.000
0.000 0.500 0.500
0.000 0.000 0.000
```

Calculated values
* size of the total moment: 0.068 μB/atom
* calculated formation energy: -2.579 eV/atom
* symmetry: P4/mmm, No. 123

---

Record 2
## Mg6NbZnO8 (PBE)

Data for Mg6NbZnO8 after structural relaxation.

```
Mg6NbZnO8
1.0
-7.005 0.839 -5.259
2.193 -1.846 -3.216
-1.410 -3.871 1.260
Nb O Mg Zn
1 8 6 1
Direct
0.500 0.000 0.000
0.500 0.500 0.000
0.000 0.500 0.000
0.758 0.000 0.000
0.242 0.000 0.000
0.748 0.500 0.500
0.252 0.500 0.500
0.500 0.000 0.500
0.000 0.000 0.500
0.244 0.000 0.500
0.756 0.500 0.000
0.756 0.000 0.500
0.500 0.500 0.500
0.000 0.500 0.500
0.244 0.500 0.000
0.000 0.000 0.000
```

Calculated values
* size of the total moment: 0.049 μB/atom
* calculated formation energy: -2.580 eV/atom
* symmetry: P4/mmm, No. 123

---

What did the first record say?
## Mg6NbZnO8 (PBE)

Data for Mg6NbZnO8 after structural relaxation.

```
Mg6NbZnO8
1.0
-2.788 6.606 5.033
-3.740 -2.072 0.648
1.679 -1.943 3.480
Mg O Nb Zn
6 8 1 1
Direct
0.256 0.000 0.500
0.256 0.500 0.000
0.500 0.000 0.000
0.744 0.000 0.500
0.500 0.500 0.500
0.744 0.500 0.000
0.262 0.500 0.500
0.500 0.000 0.500
0.257 0.000 0.000
0.743 0.000 0.000
0.000 0.000 0.500
0.000 0.500 0.000
0.738 0.500 0.500
0.500 0.500 0.000
0.000 0.500 0.500
0.000 0.000 0.000
```

Calculated values
* size of the total moment: 0.068 μB/atom
* calculated formation energy: -2.579 eV/atom
* symmetry: P4/mmm, No. 123

---

Among the records above, which one has the highest size of the total moment? number 1

---

What is the size of the total moment in the first record? 0.068 μB/atom